Record 1
Computed, not measured: a relaxed structure of TiNbB2 at the PBE level of DFT.

Results
- formation enthalpy at 0 K (meV/atom) = -810.2

abc: 4.642 4.642 3.106
angles: 90.00 90.00 138.34
Element x y z (fractional)
B 0.442 0.558 0.500
B 0.556 0.444 0.000
Ti 0.856 0.144 0.000
Nb 0.146 0.854 0.500

Record 2
Computed, not measured: a relaxed structure of TiNbB4 at the PBE level of DFT.

Results
- formation enthalpy at 0 K (meV/atom) = -890.6

abc: 3.076 3.076 6.552
angles: 90.00 90.00 120.00
Element x y z (fractional)
B 0.667 0.333 0.259
Ti 0.000 0.000 0.500
B 0.667 0.333 0.741
B 0.333 0.667 0.259
Nb 0.000 0.000 0.000
B 0.333 0.667 0.741